Material: Na6Mg3TiSi2S4O24
Method: DFT, PBE
State: optimized geometry

POSCAR file:
```
Na6Mg3TiSi2S4O24
1.0
8.957 0.000 0.000
4.470 7.780 0.000
0.153 0.113 22.107
Na Mg Ti Si S O
18 9 3 6 12 72
Direct
0.000 0.000 0.000
0.001 0.271 0.492
0.032 0.620 0.752
0.043 0.606 0.241
0.313 0.296 0.675
0.349 0.336 0.320
0.351 0.975 0.086
0.358 0.955 0.578
0.390 0.637 0.490
0.397 0.245 0.000
0.647 0.644 0.006
0.660 0.299 0.911
0.668 0.949 0.155
0.675 0.311 0.412
0.680 0.664 0.658
0.684 0.985 0.838
0.694 0.590 0.333
0.987 0.971 0.332
0.013 0.623 0.103
0.330 0.985 0.738
0.349 0.958 0.433
0.354 0.970 0.930
0.663 0.312 0.265
0.668 0.285 0.069
0.669 0.305 0.768
0.681 0.301 0.562
0.999 0.642 0.598
0.006 0.622 0.395
0.013 0.632 0.896
0.318 0.983 0.233
0.045 0.258 0.338
0.341 0.673 0.336
0.343 0.270 0.832
0.373 0.298 0.167
0.708 0.639 0.503
0.717 0.924 0.001
0.006 0.926 0.499
0.008 0.342 0.999
0.050 0.963 0.834
0.297 0.637 0.998
0.301 0.342 0.501
0.380 0.597 0.664
0.638 0.962 0.333
0.642 0.668 0.832
0.672 0.599 0.166
0.680 0.004 0.667
0.972 0.007 0.166
0.973 0.295 0.665
0.025 0.807 0.838
0.032 0.452 0.340
0.034 0.813 0.552
0.044 0.416 0.051
0.129 0.977 0.891
0.132 0.151 0.398
0.147 0.139 0.669
0.149 0.986 0.170
0.152 0.163 0.992
0.158 0.664 0.341
0.158 0.936 0.781
0.158 0.951 0.497
0.167 0.466 0.844
0.178 0.166 0.279
0.183 0.462 0.160
0.194 0.661 0.052
0.198 0.426 0.555
0.207 0.611 0.660
0.216 0.453 0.445
0.216 0.605 0.944
0.305 0.199 0.770
0.308 0.809 0.279
0.309 0.796 0.989
0.313 0.173 0.495
0.365 0.111 0.177
0.367 0.768 0.671
0.372 0.150 0.891
0.378 0.751 0.395
0.467 0.484 0.717
0.470 0.307 0.227
0.473 0.328 0.503
0.475 0.486 0.002
0.483 0.519 0.608
0.493 0.247 0.105
0.501 0.481 0.328
0.514 0.772 0.169
0.516 0.287 0.827
0.518 0.805 0.497
0.523 0.982 0.669
0.527 0.940 0.996
0.529 0.994 0.386
0.540 0.744 0.887
0.559 0.778 0.778
0.562 0.931 0.278
0.657 0.115 0.614
0.660 0.512 0.110
0.671 0.106 0.326
0.674 0.492 0.825
0.692 0.496 0.221
0.693 0.085 0.723
0.701 0.458 0.498
0.706 0.112 0.998
0.800 0.648 0.564
0.811 0.807 0.059
0.812 0.800 0.339
0.814 0.663 0.837
0.822 0.627 0.163
0.835 0.829 0.663
0.843 0.339 0.004
0.844 0.618 0.444
0.844 0.813 0.941
0.848 0.097 0.504
0.858 0.281 0.326
0.861 0.317 0.717
0.870 0.093 0.220
0.875 0.115 0.828
0.892 0.283 0.608
0.896 0.108 0.110
0.986 0.836 0.162
0.989 0.450 0.944
0.992 0.843 0.443
0.997 0.450 0.664
```

theoretical density	2.67	Mg/m³
energy of formation from the pure elements	-100.3	eV/f.u.
E	-6.264	eV/atom
space group	P1, No. 1
total magnetic moment	0.0	μB per formula unit

Material: Na2Mg2Ti6Si3S9O48
Method: DFT, PBE
State: optimized geometry

POSCAR file:
```
Na2Mg2Ti6Si3S9O48
1.0
8.649 0.000 0.000
0.009 15.023 0.000
0.008 0.067 22.444
Na Mg Ti Si S O
6 6 18 9 27 144
Direct
0.000 0.000 0.000
0.002 0.003 0.502
0.005 0.671 0.163
0.496 0.170 0.665
0.498 0.504 0.001
0.500 0.504 0.501
0.000 0.003 0.146
0.005 0.673 0.020
0.497 0.169 0.521
0.501 0.504 0.648
0.503 0.170 0.816
0.998 0.671 0.315
0.000 0.682 0.523
0.002 0.331 0.482
0.003 0.334 0.188
0.006 0.338 0.975
0.006 0.997 0.643
0.007 0.680 0.811
0.009 0.330 0.689
0.489 0.829 0.976
0.494 0.497 0.141
0.494 0.832 0.184
0.494 0.834 0.691
0.496 0.837 0.477
0.500 0.181 0.021
0.502 0.172 0.307
0.508 0.497 0.855
0.511 0.501 0.350
0.990 0.995 0.854
0.998 0.994 0.354
0.142 0.814 0.918
0.149 0.189 0.585
0.217 0.836 0.584
0.283 0.334 0.083
0.350 0.689 0.083
0.649 0.312 0.914
0.649 0.359 0.248
0.850 0.812 0.414
0.852 0.858 0.748
0.143 0.146 0.250
0.143 0.480 0.583
0.145 0.526 0.916
0.145 0.857 0.248
0.211 0.169 0.916
0.211 0.504 0.249
0.288 0.004 0.750
0.289 0.668 0.417
0.356 0.026 0.416
0.356 0.314 0.416
0.356 0.645 0.750
0.357 0.980 0.082
0.358 0.358 0.749
0.642 0.025 0.917
0.642 0.691 0.583
0.642 0.980 0.584
0.646 0.647 0.248
0.711 0.002 0.250
0.713 0.337 0.584
0.713 0.669 0.916
0.787 0.837 0.083
0.788 0.170 0.416
0.791 0.503 0.749
0.854 0.146 0.749
0.857 0.524 0.417
0.858 0.192 0.082
0.858 0.480 0.083
0.058 0.096 0.592
0.060 0.776 0.975
0.065 0.241 0.526
0.070 0.567 0.573
0.073 0.439 0.637
0.074 0.105 0.304
0.074 0.564 0.862
0.074 0.899 0.197
0.075 0.236 0.243
0.075 0.916 0.905
0.076 0.436 0.923
0.080 0.768 0.256
0.104 0.922 0.590
0.105 0.257 0.641
0.108 0.090 0.911
0.110 0.747 0.573
0.111 0.249 0.926
0.113 0.582 0.257
0.114 0.752 0.858
0.115 0.422 0.529
0.115 0.423 0.242
0.116 0.915 0.303
0.124 0.092 0.197
0.124 0.578 0.970
0.169 0.680 0.082
0.175 0.322 0.142
0.176 0.351 0.025
0.184 0.016 0.407
0.184 0.353 0.742
0.186 0.325 0.424
0.186 0.655 0.758
0.188 0.989 0.090
0.192 0.989 0.803
0.193 0.019 0.695
0.193 0.652 0.470
0.199 0.684 0.363
0.301 0.185 0.863
0.307 0.153 0.971
0.308 0.519 0.196
0.310 0.489 0.303
0.312 0.488 0.588
0.314 0.157 0.261
0.316 0.514 0.907
0.317 0.853 0.243
0.323 0.851 0.525
0.326 0.821 0.641
0.330 0.184 0.579
0.331 0.828 0.926
0.376 0.080 0.469
0.379 0.593 0.696
0.382 0.259 0.363
0.382 0.414 0.803
0.384 0.923 0.029
0.385 0.923 0.741
0.388 0.082 0.756
0.390 0.747 0.426
0.391 0.247 0.074
0.391 0.588 0.410
0.394 0.755 0.141
0.395 0.421 0.090
0.419 0.268 0.756
0.423 0.406 0.407
0.424 0.399 0.696
0.424 0.937 0.422
0.425 0.067 0.362
0.426 0.735 0.743
0.427 0.605 0.803
0.427 0.939 0.137
0.428 0.277 0.469
0.430 0.068 0.075
0.437 0.739 0.026
0.442 0.596 0.094
0.563 0.407 0.193
0.565 0.269 0.975
0.568 0.414 0.907
0.569 0.262 0.264
0.572 0.606 0.303
0.573 0.603 0.589
0.573 0.734 0.529
0.573 0.737 0.242
0.574 0.938 0.637
0.575 0.061 0.863
0.575 0.069 0.577
0.581 0.935 0.928
0.606 0.591 0.907
0.611 0.082 0.262
0.612 0.422 0.307
0.612 0.924 0.243
0.614 0.591 0.196
0.616 0.417 0.589
0.616 0.750 0.923
0.619 0.081 0.971
0.619 0.925 0.529
0.620 0.256 0.576
0.621 0.747 0.637
0.622 0.256 0.857
0.669 0.848 0.736
0.671 0.829 0.432
0.681 0.516 0.410
0.686 0.826 0.138
0.687 0.157 0.754
0.687 0.488 0.091
0.688 0.182 0.075
0.688 0.487 0.803
0.691 0.184 0.363
0.691 0.852 0.030
0.694 0.519 0.697
0.696 0.153 0.470
0.801 0.650 0.970
0.805 0.021 0.198
0.808 0.682 0.862
0.810 0.989 0.304
0.811 0.325 0.637
0.811 0.352 0.529
0.812 0.681 0.574
0.813 0.655 0.255
0.813 0.988 0.590
0.817 0.018 0.911
0.829 0.329 0.932
0.831 0.346 0.238
0.878 0.755 0.080
0.878 0.756 0.357
0.879 0.580 0.470
0.880 0.247 0.137
0.880 0.425 0.030
0.885 0.251 0.423
0.885 0.917 0.091
0.885 0.922 0.807
0.886 0.092 0.696
0.886 0.422 0.741
0.889 0.580 0.761
0.892 0.091 0.407
0.920 0.434 0.427
0.923 0.561 0.363
0.925 0.238 0.740
0.925 0.569 0.077
0.926 0.437 0.137
0.927 0.234 0.030
0.928 0.103 0.090
0.928 0.109 0.803
0.928 0.761 0.761
0.931 0.914 0.407
0.934 0.769 0.475
0.935 0.907 0.692
```

theoretical density	2.60	Mg/m³
energy of formation from the pure elements	-178.7	eV/f.u.
E	-7.000	eV/atom
space group	P1, No. 1
total magnetic moment	0.0	μB per formula unit